Entry from the Materials Project database: crystalline Na2MgV2Cd2O8 at its relaxed geometry (PBE+U).

a b c (Å): 6.0828 6.0828 6.8806
angles (deg): 90.00 90.00 119.85
With the nearest neighbours (Å) after each atom.
Fractional positions:
Na (0.5570, 0.4430, 0.9680)  5 O 2.31-2.56
Na (0.5570, 0.4430, 0.5320)  5 O 2.31-2.56
Mg (0.3634, 0.6366, 0.2500)  4 O 1.97-1.98
V (0.8834, 0.1166, 0.7500)  4 O 1.74-1.77
V (0.0941, 0.9059, 0.2500)  4 O 1.93-1.94
Cd (0.1942, 0.8058, 0.7500)  2 O 2.11
Cd (0.8228, 0.1772, 0.2500)  4 O 2.14-2.32
O (0.7294, 0.7578, 0.2500)  1 V 1.93, 1 Mg 1.97
O (0.2422, 0.2706, 0.2500)  1 V 1.93, 1 Mg 1.97
O (0.2260, 0.7740, 0.4476)  1 V 1.94, 1 Mg 1.98, 1 Cd 2.11
O (0.2260, 0.7740, 0.0524)  1 V 1.94, 1 Mg 1.98, 1 Cd 2.11
O (0.7764, 0.2236, 0.5522)  1 V 1.77
O (0.7764, 0.2236, 0.9478)  1 V 1.77
O (0.2103, 0.2420, 0.7500)  1 V 1.74
O (0.7580, 0.7897, 0.7500)  1 V 1.74

## Properties
energy of formation	-2.0255	eV/atom
volume	14.72	A^3/atom